Entry 1:
Na10Hf4Nb4Si11SO48: relaxed, PBE-GGA.

As for the space group: No. 1.

Lattice parameters (Å, degrees): 18.105 9.071 22.887 90.05 89.97 120.00
Sites, in units of the cell vectors:
Si (0.167, 0.372, 0.417)
Si (0.665, 0.957, 0.917)
Si (0.333, 0.622, 0.584)
Si (0.353, 0.704, 0.250)
Si (0.645, 0.286, 0.750)
Si (0.311, 0.664, 0.916)
Si (0.001, 0.295, 0.250)
Si (0.981, 0.627, 0.082)
Si (0.309, 0.958, 0.416)
Si (0.167, 0.961, 0.917)
Si (0.188, 0.331, 0.083)
Si (0.353, 0.996, 0.750)
Si (0.687, 0.044, 0.584)
Si (0.830, 0.618, 0.584)
Si (0.809, 0.662, 0.916)
Si (0.498, 0.711, 0.750)
Si (0.330, 0.044, 0.084)
Si (0.855, 0.003, 0.750)
Si (0.979, 0.334, 0.583)
Si (0.522, 0.378, 0.916)
Si (0.830, 0.043, 0.084)
Si (0.023, 0.669, 0.418)
Si (0.188, 0.044, 0.584)
Si (0.667, 0.373, 0.418)
Si (0.522, 0.670, 0.417)
Si (0.002, 0.708, 0.750)
Si (0.853, 0.704, 0.250)
Si (0.687, 0.331, 0.084)
Si (0.501, 0.296, 0.250)
Si (0.480, 0.627, 0.082)
Si (0.023, 0.376, 0.917)
Si (0.480, 0.335, 0.584)
Si (0.808, 0.955, 0.416)
Na (0.484, 0.303, 0.415)
Na (0.164, 0.660, 0.168)
Na (0.507, 0.001, 0.501)
Na (0.017, 0.701, 0.584)
Na (0.333, 0.969, 0.585)
Na (0.833, 0.697, 0.085)
Na (0.321, 0.000, 0.250)
Na (0.350, 0.667, 0.415)
Na (0.333, 0.697, 0.085)
Na (0.850, 0.668, 0.415)
Na (0.334, 0.340, 0.331)
Na (0.851, 0.034, 0.916)
Na (0.985, 0.665, 0.915)
Na (0.168, 0.667, 0.670)
Na (0.664, 0.660, 0.169)
Na (0.349, 0.033, 0.916)
Na (0.505, 0.999, 0.000)
Na (0.007, 0.007, 0.499)
Na (0.664, 0.667, 0.665)
Na (0.515, 0.331, 0.085)
Na (0.332, 0.339, 0.834)
Na (0.821, 0.000, 0.250)
Na (0.984, 0.303, 0.415)
Na (0.834, 0.340, 0.331)
Na (0.498, 0.363, 0.749)
Na (0.008, 0.008, 0.000)
Na (0.832, 0.328, 0.832)
Na (0.819, 0.637, 0.750)
Na (0.833, 0.965, 0.583)
Na (0.017, 0.334, 0.085)
O (0.412, 0.795, 0.308)
O (0.151, 0.832, 0.973)
O (0.065, 0.627, 0.362)
O (0.253, 0.875, 0.357)
O (0.573, 0.636, 0.074)
O (0.592, 0.168, 0.087)
O (0.230, 0.306, 0.744)
O (0.508, 0.832, 0.413)
O (0.404, 0.841, 0.910)
O (0.081, 0.692, 0.476)
O (0.927, 0.497, 0.426)
O (0.080, 0.190, 0.412)
O (0.653, 0.834, 0.973)
O (0.581, 0.976, 0.910)
O (0.084, 0.682, 0.755)
O (0.652, 0.472, 0.474)
O (0.403, 0.976, 0.692)
O (0.911, 0.031, 0.809)
O (0.896, 0.965, 0.692)
O (0.679, 0.503, 0.074)
O (0.984, 0.162, 0.590)
O (0.753, 0.875, 0.358)
O (0.342, 0.515, 0.245)
O (0.488, 0.809, 0.807)
O (0.751, 0.638, 0.858)
O (0.323, 0.498, 0.925)
O (0.151, 0.470, 0.473)
O (0.179, 0.855, 0.575)
O (0.653, 0.477, 0.757)
O (0.438, 0.366, 0.642)
O (0.605, 0.025, 0.303)
O (0.762, 0.705, 0.255)
O (0.581, 0.197, 0.694)
O (0.904, 0.833, 0.911)
O (0.918, 0.533, 0.025)
O (0.347, 0.533, 0.525)
O (0.754, 0.364, 0.426)
O (0.255, 0.364, 0.425)
O (0.080, 0.970, 0.911)
O (0.350, 0.173, 0.745)
O (0.251, 0.633, 0.860)
O (0.848, 0.165, 0.026)
O (0.842, 0.516, 0.245)
O (0.071, 0.509, 0.577)
O (0.583, 0.693, 0.474)
O (0.251, 0.373, 0.139)
O (0.404, 0.976, 0.412)
O (0.683, 0.863, 0.861)
O (0.153, 0.460, 0.756)
O (0.188, 0.499, 0.362)
O (0.581, 0.191, 0.412)
O (0.250, 0.849, 0.075)
O (0.656, 0.848, 0.255)
O (0.007, 0.184, 0.912)
O (0.825, 0.150, 0.425)
O (0.231, 0.152, 0.245)
O (0.426, 0.352, 0.924)
O (0.583, 0.688, 0.758)
O (0.750, 0.650, 0.577)
O (0.254, 0.145, 0.925)
O (0.250, 0.128, 0.639)
O (0.092, 0.208, 0.697)
O (0.326, 0.152, 0.425)
O (0.750, 0.849, 0.075)
O (0.766, 0.834, 0.474)
O (0.237, 0.166, 0.527)
O (0.439, 0.502, 0.138)
O (0.982, 0.793, 0.807)
O (0.582, 0.470, 0.974)
O (0.251, 0.651, 0.574)
O (0.597, 0.167, 0.807)
O (0.417, 0.519, 0.746)
O (0.014, 0.204, 0.192)
O (0.986, 0.174, 0.308)
O (0.766, 0.698, 0.974)
O (0.092, 0.975, 0.197)
O (0.917, 0.808, 0.589)
O (0.912, 0.795, 0.308)
O (0.105, 0.025, 0.303)
O (0.761, 0.826, 0.758)
O (0.843, 0.169, 0.742)
O (0.594, 0.026, 0.591)
O (0.417, 0.030, 0.807)
O (0.751, 0.373, 0.138)
O (0.574, 0.504, 0.575)
O (0.187, 0.875, 0.862)
O (0.752, 0.138, 0.639)
O (0.927, 0.357, 0.926)
O (0.104, 0.183, 0.802)
O (0.316, 0.125, 0.142)
O (0.564, 0.627, 0.362)
O (0.417, 0.530, 0.027)
O (0.899, 0.826, 0.192)
O (0.592, 0.975, 0.197)
O (0.819, 0.502, 0.641)
O (0.399, 0.826, 0.193)
O (0.731, 0.152, 0.245)
O (0.261, 0.825, 0.754)
O (0.816, 0.125, 0.142)
O (0.917, 0.024, 0.088)
O (0.418, 0.302, 0.526)
O (0.092, 0.016, 0.588)
O (0.688, 0.499, 0.362)
O (0.092, 0.168, 0.088)
O (0.514, 0.205, 0.192)
O (0.073, 0.636, 0.075)
O (0.684, 0.861, 0.576)
O (0.985, 0.809, 0.088)
O (0.410, 0.295, 0.245)
O (0.416, 0.023, 0.088)
O (0.737, 0.308, 0.026)
O (0.754, 0.139, 0.924)
O (0.849, 0.531, 0.526)
O (0.910, 0.295, 0.245)
O (0.008, 0.832, 0.413)
O (0.013, 0.823, 0.692)
O (0.931, 0.368, 0.639)
O (0.905, 0.977, 0.412)
O (0.084, 0.484, 0.255)
O (0.918, 0.302, 0.526)
O (0.179, 0.503, 0.074)
O (0.741, 0.316, 0.743)
O (0.509, 0.186, 0.909)
O (0.428, 0.497, 0.426)
O (0.237, 0.307, 0.026)
O (0.416, 0.816, 0.590)
O (0.155, 0.848, 0.255)
O (0.824, 0.498, 0.923)
O (0.938, 0.501, 0.137)
O (0.584, 0.485, 0.255)
O (0.268, 0.699, 0.974)
O (0.349, 0.166, 0.026)
O (0.912, 0.522, 0.742)
O (0.262, 0.704, 0.255)
O (0.486, 0.174, 0.307)
O (0.317, 0.503, 0.640)
O (0.486, 0.810, 0.089)
O (0.484, 0.159, 0.589)
O (0.569, 0.498, 0.859)
O (0.515, 0.835, 0.693)
O (0.064, 0.502, 0.862)
O (0.081, 0.469, 0.976)
O (0.265, 0.835, 0.474)
O (0.736, 0.166, 0.527)
Hf (0.996, 0.996, 0.354)
Hf (0.497, 0.997, 0.354)
Hf (0.999, 0.995, 0.646)
Hf (0.498, 0.003, 0.146)
Hf (0.168, 0.676, 0.814)
Hf (0.339, 0.346, 0.185)
Hf (0.165, 0.654, 0.315)
Hf (0.839, 0.347, 0.186)
Hf (0.665, 0.653, 0.315)
Hf (0.998, 0.003, 0.146)
Hf (0.998, 0.998, 0.854)
Hf (0.335, 0.334, 0.685)
Nb (0.501, 0.998, 0.646)
Nb (0.501, 0.999, 0.854)
Nb (0.332, 0.330, 0.481)
Nb (0.167, 0.670, 0.019)
Nb (0.831, 0.332, 0.980)
Nb (0.835, 0.331, 0.688)
Nb (0.665, 0.670, 0.019)
Nb (0.666, 0.671, 0.813)
Nb (0.663, 0.662, 0.520)
Nb (0.333, 0.340, 0.980)
Nb (0.830, 0.327, 0.480)
Nb (0.167, 0.663, 0.520)
S (0.145, 0.289, 0.750)
S (0.645, 0.000, 0.250)
S (0.145, 0.000, 0.250)

Entry 2:
NaHfNbSi2SO12: relaxed, PBE-GGA.

Lattice parameters (Å, degrees): 8.955 8.960 23.119 89.88 90.00 119.98
Sites, in units of the cell vectors:
Nb (0.330, 0.659, 0.312)
Nb (0.329, 0.659, 0.812)
Nb (0.663, 0.326, 0.478)
Nb (0.996, 0.992, 0.645)
Nb (0.996, 0.992, 0.145)
Nb (0.663, 0.326, 0.978)
O (0.347, 0.495, 0.078)
O (0.517, 0.820, 0.758)
O (0.303, 0.820, 0.258)
O (0.536, 0.696, 0.973)
O (0.808, 0.973, 0.693)
O (0.472, 0.168, 0.526)
O (0.129, 0.648, 0.076)
O (0.967, 0.795, 0.088)
O (0.975, 0.185, 0.302)
O (0.029, 0.834, 0.693)
O (0.142, 0.640, 0.360)
O (0.180, 0.208, 0.697)
O (0.498, 0.640, 0.860)
O (0.148, 0.495, 0.578)
O (0.827, 0.030, 0.806)
O (0.877, 0.519, 0.136)
O (0.173, 0.690, 0.759)
O (0.850, 0.487, 0.425)
O (0.984, 0.809, 0.807)
O (0.160, 0.192, 0.410)
O (0.362, 0.501, 0.360)
O (0.301, 0.462, 0.755)
O (0.651, 0.143, 0.140)
O (0.462, 0.314, 0.743)
O (0.815, 0.828, 0.911)
O (0.825, 0.809, 0.307)
O (0.544, 0.852, 0.469)
O (0.475, 0.306, 0.027)
O (0.493, 0.858, 0.077)
O (0.210, 0.185, 0.802)
O (0.846, 0.541, 0.031)
O (0.518, 0.690, 0.259)
O (0.365, 0.858, 0.577)
O (0.013, 0.828, 0.411)
O (0.839, 0.024, 0.092)
O (0.869, 0.363, 0.640)
O (0.851, 0.357, 0.925)
O (0.028, 0.208, 0.197)
O (0.308, 0.852, 0.969)
O (0.161, 0.462, 0.255)
O (0.139, 0.501, 0.860)
O (0.492, 0.143, 0.640)
O (0.970, 0.154, 0.591)
O (0.852, 0.314, 0.243)
O (0.698, 0.525, 0.243)
O (0.831, 0.306, 0.527)
O (0.634, 0.128, 0.421)
O (0.637, 0.487, 0.925)
O (0.805, 0.834, 0.193)
O (0.203, 0.030, 0.306)
O (0.160, 0.696, 0.473)
O (0.506, 0.357, 0.425)
O (0.481, 0.161, 0.244)
O (0.165, 0.973, 0.193)
O (0.158, 0.476, 0.974)
O (0.696, 0.168, 0.026)
O (0.795, 0.981, 0.409)
O (0.032, 0.192, 0.910)
O (0.362, 0.875, 0.864)
O (0.826, 0.525, 0.743)
O (0.519, 0.648, 0.576)
O (0.184, 0.154, 0.091)
O (0.494, 0.128, 0.921)
O (0.184, 0.024, 0.592)
O (0.695, 0.541, 0.531)
O (0.828, 0.795, 0.588)
O (0.186, 0.981, 0.909)
O (0.493, 0.363, 0.140)
O (0.513, 0.875, 0.364)
O (0.642, 0.519, 0.636)
O (0.680, 0.161, 0.744)
O (0.318, 0.476, 0.474)
Na (0.016, 0.009, 0.498)
Na (0.682, 0.343, 0.832)
Na (0.327, 0.676, 0.665)
Na (0.660, 0.343, 0.332)
Na (0.994, 0.009, 0.998)
Na (0.349, 0.676, 0.165)
S (0.287, 0.287, 0.750)
S (0.667, 0.620, 0.583)
S (0.620, 0.954, 0.416)
S (0.000, 0.287, 0.250)
S (0.334, 0.954, 0.916)
S (0.953, 0.620, 0.083)
Si (0.040, 0.662, 0.417)
Si (0.665, 0.044, 0.085)
Si (0.955, 0.329, 0.583)
Si (0.289, 0.996, 0.250)
Si (0.998, 0.710, 0.751)
Si (0.707, 0.996, 0.750)
Si (0.379, 0.044, 0.585)
Si (0.622, 0.662, 0.917)
Si (0.374, 0.329, 0.083)
Si (0.712, 0.710, 0.251)
Si (0.332, 0.377, 0.418)
Si (0.045, 0.377, 0.918)
Hf (0.344, 0.660, 0.021)
Hf (0.011, 0.993, 0.355)
Hf (0.316, 0.660, 0.521)
Hf (0.649, 0.326, 0.188)
Hf (0.677, 0.326, 0.688)
Hf (0.983, 0.993, 0.855)

The records above yield uncorrected energy values of -7.709 -7.799 eV/atom, respectively.
The records above yield formation energy from the elements values of -70.808 -67.751 kcal/mol of atoms, respectively.